Record 1
This record from the Materials Project database describes a relaxed structure of Li3Si2Ni2O8. The functional is GGA+U.

Geometry as POSCAR:
```
Li3Si2Ni2O8
1.0
6.404 0.000 0.000
0.000 5.021 0.000
-0.261 0.000 10.753
Li Si Ni O
6 4 4 16
Direct
0.000 0.047 0.000 Li
0.000 0.953 0.500 Li
0.245 0.444 0.418 Li
0.245 0.556 0.918 Li
0.747 0.049 0.233 Li
0.747 0.951 0.733 Li
0.498 0.058 0.988 Si
0.498 0.942 0.488 Si
0.999 0.437 0.668 Si
0.999 0.563 0.168 Si
0.266 0.054 0.237 Ni
0.266 0.946 0.737 Ni
0.748 0.449 0.412 Ni
0.748 0.551 0.912 Ni
0.002 0.110 0.669 O
0.002 0.890 0.169 O
0.205 0.440 0.236 O
0.205 0.560 0.736 O
0.275 0.043 0.423 O
0.275 0.957 0.923 O
0.504 0.010 0.634 O
0.504 0.990 0.134 O
0.512 0.384 0.962 O
0.512 0.616 0.462 O
0.709 0.069 0.421 O
0.709 0.931 0.921 O
0.794 0.450 0.244 O
0.794 0.550 0.744 O
0.977 0.460 0.019 O
0.977 0.540 0.519 O
```

Calculated values
Energy relative to the lowest polymorph listed for this composition   4 meV/atom



Record 2
This record from the Materials Project database describes a relaxed structure of BaLa4Mn5O15. The functional is GGA+U.

Geometry as POSCAR:
```
BaLa4Mn5O15
1.0
5.593 0.000 0.000
0.023 6.854 0.000
2.789 2.286 8.064
Ba La Mn O
1 4 5 15
Direct
0.000 0.000 0.000 Ba
0.203 0.798 0.594 La
0.401 0.585 0.199 La
0.599 0.415 0.801 La
0.797 0.202 0.406 La
0.000 0.500 0.000 Mn
0.201 0.299 0.598 Mn
0.400 0.099 0.201 Mn
0.600 0.901 0.799 Mn
0.799 0.701 0.402 Mn
0.000 0.500 0.500 O
0.095 0.903 0.319 O
0.105 0.408 0.791 O
0.207 0.312 0.102 O
0.304 0.219 0.392 O
0.309 0.688 0.898 O
0.415 0.097 0.681 O
0.500 0.000 0.000 O
0.500 0.500 0.500 O
0.585 0.903 0.319 O
0.691 0.312 0.102 O
0.696 0.781 0.608 O
0.793 0.688 0.898 O
0.895 0.592 0.209 O
0.905 0.097 0.681 O
```

Calculated values
Energy   -194.83 eV per formula unit



Record 3
This record from the Materials Project database describes a relaxed structure of TbWClO4. The functional is GGA+U.

Geometry as POSCAR:
```
TbWClO4
1.0
5.207 -3.696 0.000
5.207 3.696 0.000
-2.117 0.000 6.675
Tb W Cl O
2 2 2 8
Direct
0.222 0.222 0.118 Tb
0.778 0.778 0.882 Tb
0.363 0.363 0.734 W
0.637 0.637 0.266 W
0.012 0.012 0.771 Cl
0.988 0.988 0.229 Cl
0.109 0.492 0.846 O
0.296 0.296 0.466 O
0.455 0.455 0.196 O
0.492 0.109 0.846 O
0.508 0.891 0.154 O
0.545 0.545 0.804 O
0.704 0.704 0.534 O
0.891 0.508 0.154 O
```

Calculated values
Energy   -50.73 eV per formula unit